1.
The following is a DFT calculation (PBE+U) of a geometry-optimized Li2FeO2F structure.

The structure in POSCAR format:
```
Li2FeO2F
1.0
1.057 -1.281 -4.943
2.901 -1.841 3.923
-4.482 -8.785 0.377
Li Fe O F
8 4 8 4
direct
0.819 0.626 0.998
0.500 0.000 0.000
0.181 0.374 0.002
0.734 0.266 0.250
0.000 0.500 0.500
0.374 0.181 0.502
0.626 0.819 0.498
0.266 0.734 0.750
0.420 0.580 0.250
0.105 0.895 0.250
0.895 0.105 0.750
0.580 0.420 0.750
0.574 0.713 0.862
0.142 0.634 0.132
0.713 0.574 0.362
0.634 0.142 0.632
0.858 0.366 0.868
0.426 0.287 0.138
0.366 0.858 0.368
0.287 0.426 0.638
0.207 0.044 0.875
0.044 0.207 0.375
0.793 0.956 0.125
0.956 0.793 0.625
```

Offset from the most stable computed form: 0.55 eV/f.u.
ΔH_f (0 K): -2.26 eV per atom
Space-group type: C2/c, No. 15
M_tot: 0.00 Bohr magnetons per cell


2.
The following is a DFT calculation (PBE+U) of a geometry-optimized Li2Fe2OF6 structure.

The structure in POSCAR format:
```
Li2Fe2OF6
1.0
-1.139 2.291 -5.086
-0.311 -5.611 -4.270
-6.683 -2.000 -2.118
Li Fe O F
4 4 2 12
direct
0.677 0.612 0.772
0.212 0.867 0.917
0.788 0.133 0.083
0.323 0.388 0.228
0.760 0.133 0.585
0.677 0.584 0.274
0.323 0.416 0.726
0.240 0.867 0.415
0.513 0.675 0.515
0.487 0.325 0.485
0.964 0.389 0.378
0.581 0.893 0.768
0.859 0.825 0.093
0.666 0.262 0.800
0.907 0.020 0.356
0.708 0.462 0.068
0.292 0.538 0.932
0.093 0.980 0.644
0.334 0.738 0.200
0.141 0.175 0.907
0.419 0.107 0.232
0.036 0.611 0.622
```

ΔH_f (0 K): -2.67 eV per atom
Space-group type: P-1, No. 2
M_tot: 20.01 Bohr magnetons per cell


Q: What is the M_tot in the second record?
A: 20.01 Bohr magnetons per cell


Q: Number 2 is which compound?
A: Li2Fe2OF6


What did the second record say?
The following is a DFT calculation (PBE+U) of a geometry-optimized Li2Fe2OF6 structure.

The structure in POSCAR format:
```
Li2Fe2OF6
1.0
-1.139 2.291 -5.086
-0.311 -5.611 -4.270
-6.683 -2.000 -2.118
Li Fe O F
4 4 2 12
direct
0.677 0.612 0.772
0.212 0.867 0.917
0.788 0.133 0.083
0.323 0.388 0.228
0.760 0.133 0.585
0.677 0.584 0.274
0.323 0.416 0.726
0.240 0.867 0.415
0.513 0.675 0.515
0.487 0.325 0.485
0.964 0.389 0.378
0.581 0.893 0.768
0.859 0.825 0.093
0.666 0.262 0.800
0.907 0.020 0.356
0.708 0.462 0.068
0.292 0.538 0.932
0.093 0.980 0.644
0.334 0.738 0.200
0.141 0.175 0.907
0.419 0.107 0.232
0.036 0.611 0.622
```

ΔH_f (0 K): -2.67 eV per atom
Space-group type: P-1, No. 2
M_tot: 20.01 Bohr magnetons per cell


Q: What is the M_tot in the first record?
A: 0.00 Bohr magnetons per cell